(1)
{"formula": "MnNb2S4", "functional": "GGA-PBE", "state": "optimized geometry", "lattice_angstrom": [[0.000, -3.340, 0.000], [-9.137, 0.000, 0.000], [0.000, 0.000, -16.805]], "species": ["Mn", "Mn", "Mn", "Mn", "Nb", "Nb", "Nb", "Nb", "Nb", "Nb", "Nb", "Nb", "S", "S", "S", "S", "S", "S", "S", "S", "S", "S", "S", "S", "S", "S", "S", "S"], "fractional_positions": [[0.750, 0.689, 0.788], [0.250, 0.311, 0.212], [0.250, 0.811, 0.288], [0.750, 0.189, 0.712], [0.750, 0.878, 0.530], [0.250, 0.122, 0.470], [0.250, 0.622, 0.030], [0.750, 0.378, 0.970], [0.750, 0.498, 0.428], [0.250, 0.502, 0.572], [0.250, 0.002, 0.928], [0.750, 0.998, 0.072], [0.750, 0.671, 0.640], [0.250, 0.329, 0.360], [0.250, 0.829, 0.140], [0.750, 0.171, 0.860], [0.750, 0.630, 0.292], [0.250, 0.370, 0.708], [0.250, 0.870, 0.792], [0.750, 0.130, 0.208], [0.750, 0.978, 0.392], [0.250, 0.022, 0.608], [0.250, 0.522, 0.892], [0.750, 0.478, 0.108], [0.750, 0.806, 0.965], [0.250, 0.194, 0.035], [0.250, 0.694, 0.465], [0.750, 0.306, 0.535]], "delta_e_f_kcal_per_mol_atoms": -24.15, "vol_a3_per_cell": 513, "magnetic_moment_mub_per_fu": 4.740, "energy_ev_per_cell": -204.912}

=====

(2)
{"formula": "MnNb2S4", "functional": "GGA-PBE", "state": "optimized geometry", "lattice_angstrom": [[-1.481, 1.247, 2.747], [-3.896, -9.902, 2.393], [10.806, -2.563, 6.988]], "species": ["Mn", "Mn", "Mn", "Mn", "Nb", "Nb", "Nb", "Nb", "Nb", "Nb", "Nb", "Nb", "S", "S", "S", "S", "S", "S", "S", "S", "S", "S", "S", "S", "S", "S", "S", "S"], "fractional_positions": [[0.250, 0.252, 0.339], [0.250, 0.752, 0.161], [0.750, 0.748, 0.661], [0.750, 0.248, 0.839], [0.250, 0.042, 0.583], [0.250, 0.542, 0.917], [0.750, 0.958, 0.417], [0.750, 0.458, 0.083], [0.250, 0.114, 0.102], [0.250, 0.614, 0.398], [0.750, 0.886, 0.898], [0.750, 0.386, 0.602], [0.250, 0.325, 0.992], [0.250, 0.825, 0.508], [0.750, 0.675, 0.008], [0.750, 0.175, 0.492], [0.250, 0.244, 0.690], [0.250, 0.744, 0.810], [0.750, 0.756, 0.310], [0.750, 0.256, 0.190], [0.250, 0.061, 0.913], [0.250, 0.561, 0.587], [0.750, 0.939, 0.087], [0.750, 0.439, 0.413], [0.250, 0.032, 0.289], [0.250, 0.532, 0.211], [0.750, 0.968, 0.711], [0.750, 0.468, 0.789]], "delta_e_f_kcal_per_mol_atoms": -23.02, "vol_a3_per_cell": 481, "magnetic_moment_mub_per_fu": 4.623, "energy_ev_per_cell": -203.538}

=====

(3)
{"formula": "MnNb2S4", "functional": "GGA-PBE", "state": "optimized geometry", "lattice_angstrom": [[1.645, -2.848, 0.000], [1.645, 2.848, 0.000], [0.000, 0.000, 13.769]], "species": ["Mn", "Nb", "Nb", "S", "S", "S", "S"], "fractional_positions": [[0.000, 0.000, 0.000], [0.333, 0.667, 0.275], [0.667, 0.333, 0.725], [0.333, 0.667, 0.099], [0.667, 0.333, 0.901], [0.333, 0.667, 0.614], [0.667, 0.333, 0.386]], "delta_e_f_kcal_per_mol_atoms": -20.29, "vol_a3_per_cell": 129, "magnetic_moment_mub_per_fu": 2.553, "energy_ev_per_cell": -50.059}

=====

(4)
{"formula": "MnNb3S6", "functional": "GGA-PBE", "state": "optimized geometry", "lattice_angstrom": [[2.919, -5.056, 0.000], [2.919, 5.056, 0.000], [0.000, 0.000, 12.415]], "species": ["Mn", "Mn", "Nb", "Nb", "Nb", "Nb", "Nb", "Nb", "S", "S", "S", "S", "S", "S", "S", "S", "S", "S", "S", "S"], "fractional_positions": [[0.667, 0.333, 0.750], [0.333, 0.667, 0.250], [0.333, 0.667, 0.501], [0.667, 0.333, 0.001], [0.667, 0.333, 0.499], [0.333, 0.667, 0.999], [0.000, 0.000, 0.500], [0.000, 0.000, 0.000], [0.333, 0.331, 0.126], [0.669, 0.002, 0.126], [0.998, 0.667, 0.126], [0.002, 0.333, 0.626], [0.667, 0.998, 0.874], [0.667, 0.669, 0.626], [0.331, 0.998, 0.626], [0.669, 0.667, 0.374], [0.333, 0.002, 0.374], [0.331, 0.333, 0.874], [0.002, 0.669, 0.874], [0.998, 0.331, 0.374]], "delta_e_f_kcal_per_mol_atoms": -31.50, "vol_a3_per_cell": 366, "energy_ev_per_cell": -149.851}

=====

(5)
{"formula": "MnNb3Se6", "functional": "GGA-PBE", "state": "optimized geometry", "lattice_angstrom": [[3.024, -5.237, 0.000], [3.024, 5.237, 0.000], [0.000, 0.000, 12.255]], "species": ["Mn", "Mn", "Nb", "Nb", "Nb", "Nb", "Nb", "Nb", "Se", "Se", "Se", "Se", "Se", "Se", "Se", "Se", "Se", "Se", "Se", "Se"], "fractional_positions": [[0.333, 0.667, 0.250], [0.667, 0.333, 0.750], [0.333, 0.667, 0.998], [0.667, 0.333, 0.002], [0.667, 0.333, 0.498], [0.333, 0.667, 0.502], [0.000, 0.000, 0.500], [0.000, 0.000, 0.000], [0.332, 0.335, 0.363], [0.665, 0.998, 0.363], [0.002, 0.668, 0.363], [0.335, 0.332, 0.637], [0.998, 0.665, 0.637], [0.668, 0.002, 0.637], [0.668, 0.665, 0.863], [0.335, 0.002, 0.863], [0.998, 0.332, 0.863], [0.665, 0.668, 0.137], [0.002, 0.335, 0.137], [0.332, 0.998, 0.137]], "delta_e_f_kcal_per_mol_atoms": -24.48, "vol_a3_per_cell": 388, "energy_ev_per_cell": -136.451}

=====

(6)
{"formula": "MnNb4Se8", "functional": "GGA-PBE", "state": "optimized geometry", "lattice_angstrom": [[3.511, -6.081, 0.000], [3.511, 6.081, 0.000], [0.000, 0.000, 12.929]], "species": ["Mn", "Mn", "Nb", "Nb", "Nb", "Nb", "Nb", "Nb", "Nb", "Nb", "Se", "Se", "Se", "Se", "Se", "Se", "Se", "Se", "Se", "Se", "Se", "Se", "Se", "Se", "Se", "Se"], "fractional_positions": [[0.000, 0.000, 0.500], [0.000, 0.000, 0.000], [0.000, 0.000, 0.250], [0.000, 0.000, 0.750], [0.508, 0.015, 0.250], [0.985, 0.492, 0.250], [0.508, 0.492, 0.250], [0.492, 0.985, 0.750], [0.015, 0.508, 0.750], [0.492, 0.508, 0.750], [0.333, 0.667, 0.883], [0.667, 0.333, 0.117], [0.667, 0.333, 0.383], [0.333, 0.667, 0.617], [0.169, 0.831, 0.378], [0.169, 0.339, 0.378], [0.661, 0.831, 0.378], [0.831, 0.169, 0.622], [0.831, 0.661, 0.622], [0.339, 0.169, 0.622], [0.831, 0.169, 0.878], [0.831, 0.661, 0.878], [0.339, 0.169, 0.878], [0.169, 0.831, 0.122], [0.169, 0.339, 0.122], [0.661, 0.831, 0.122]], "delta_e_f_kcal_per_mol_atoms": -26.24, "vol_a3_per_cell": 552, "energy_ev_per_cell": -177.097}